Record 1
LiVF4 | PBE+U | optimized geometry

Summary:
The energy of formation from the pure elements is -18.78 eV/f.u. As for the space group: Imma, No. 74.

a b c (Å): 6.1381 6.1381 6.1381
angles (deg): 119.50 86.04 125.22
Closest atoms and distances in Å follow each position.
Fractional coordinates of all 12 atoms:
Li: 0.0000 0.0000 0.0000  6 F 2.12-2.24
Li: 0.5000 0.0000 0.5000  6 F 2.12-2.24
V: 0.5000 0.0000 0.0000  6 F 1.91-2.05
V: 0.5000 0.5000 0.5000  6 F 1.91-2.05
F: 0.2625 0.0125 0.2500  2 V 2.05, 2 Li 2.24
F: 0.2825 0.5325 0.7500  2 V 1.97
F: 0.2867 0.0000 0.7867  1 V 1.91, 2 Li 2.12
F: 0.2867 0.5000 0.2867  1 V 1.91, 2 Li 2.12
F: 0.7133 0.0000 0.2133  1 V 1.91, 2 Li 2.12
F: 0.7133 0.5000 0.7133  1 V 1.91, 2 Li 2.12
F: 0.7175 0.4675 0.2500  2 V 1.97
F: 0.7375 0.9875 0.7500  2 V 2.05, 2 Li 2.24

---

Record 2
Li2VF6 | PBE+U | optimized geometry

Summary:
The energy of formation from the pure elements is -28.10 eV/f.u. As for the space group: P1, No. 1.

a b c (Å): 9.8739 9.9616 11.3016
angles (deg): 115.92 115.76 90.14
Closest atoms and distances in Å follow each position.
Fractional coordinates of all 72 atoms:
Li: 0.0000 0.0000 0.0000  4 F 1.93-2.11
Li: 0.0030 0.5052 0.9898  4 F 1.92-2.11
Li: 0.0270 0.4937 0.5003  5 F 2.00-2.21
Li: 0.0823 0.8328 0.6359  4 F 1.89-1.97
Li: 0.0879 0.3467 0.1685  3 F 1.92-1.99
Li: 0.3372 0.0810 0.1194  4 F 1.89-2.00
Li: 0.3413 0.5580 0.1190  4 F 1.90-1.98
Li: 0.3828 0.3809 0.7429  5 F 1.99-2.21
Li: 0.3866 0.8930 0.2614  3 F 1.89-1.99
Li: 0.5162 0.5033 0.4978  5 F 2.00-2.20
Li: 0.5589 0.8074 0.0716  4 F 1.95-2.12
Li: 0.5767 0.8346 0.6212  4 F 1.85-2.02
Li: 0.5845 0.3179 0.1254  4 F 1.87-1.95
Li: 0.6041 0.3145 0.6360  4 F 1.87-1.98
Li: 0.8313 0.0673 0.6257  4 F 1.91-1.97
Li: 0.8953 0.8731 0.2368  5 F 2.02-2.12
V: 0.1945 0.6861 0.8665  6 F 1.82-2.00
V: 0.2023 0.6956 0.3733  6 F 1.84-1.97
V: 0.2055 0.1924 0.3753  6 F 1.80-1.95
V: 0.2075 0.1952 0.8713  6 F 1.80-2.01
V: 0.7051 0.6935 0.8734  6 F 1.81-1.95
V: 0.7082 0.1895 0.3725  6 F 1.81-1.95
V: 0.7098 0.1950 0.8799  6 F 1.84-1.95
V: 0.7098 0.6914 0.3706  6 F 1.83-1.98
F: 0.0319 0.0267 0.7120  2 Li 1.91-1.93, 1 V 1.92
F: 0.0342 0.7153 0.2283  1 V 1.84
F: 0.0353 0.1874 0.2037  1 V 1.92, 2 Li 1.92-2.11
F: 0.0477 0.5127 0.7103  1 V 1.82
F: 0.0705 0.8229 0.8812  1 V 1.84, 1 Li 2.04
F: 0.0808 0.3293 0.8866  1 V 1.84, 1 Li 2.00
F: 0.0842 0.0501 0.3682  1 V 1.80, 1 Li 2.02
F: 0.0861 0.5349 0.3632  1 V 1.90, 1 Li 2.06
F: 0.1733 0.1624 0.0205  1 Li 1.94, 1 V 2.01
F: 0.1727 0.8446 0.5224  1 V 1.84, 1 Li 1.89
F: 0.1759 0.3591 0.5184  1 V 1.88, 1 Li 2.00
F: 0.1834 0.6484 0.0169  1 V 1.94, 2 Li 1.98-2.11
F: 0.2081 0.7173 0.7184  1 V 1.89, 1 Li 1.92
F: 0.2150 0.5288 0.2030  2 Li 1.95-1.99, 1 V 1.97
F: 0.2403 0.2365 0.7407  1 V 1.84, 1 Li 1.99
F: 0.2466 0.0304 0.2265  1 V 1.95, 2 Li 1.99-2.00
F: 0.3216 0.3302 0.3620  1 V 1.88, 1 Li 2.03
F: 0.3279 0.0610 0.8795  1 V 1.80
F: 0.3387 0.8353 0.3797  1 Li 1.89, 1 V 1.89
F: 0.3553 0.5843 0.8852  1 V 1.87, 1 Li 2.07
F: 0.3647 0.8682 0.0434  2 Li 1.95-1.98, 1 V 2.00
F: 0.3825 0.6665 0.5032  1 V 1.87, 2 Li 2.02-2.09
F: 0.3838 0.3626 0.0364  2 Li 1.90-1.95, 1 V 1.93
F: 0.3888 0.2084 0.5396  1 V 1.89, 1 Li 1.95
F: 0.5257 0.7215 0.2263  1 Li 1.94, 1 V 1.98
F: 0.5368 0.2044 0.2101  2 Li 1.89-1.94, 1 V 1.95
F: 0.5408 0.5061 0.7237  1 V 1.95, 2 Li 1.98-2.14
F: 0.5469 0.0210 0.7354  1 Li 1.85, 1 V 1.87
F: 0.5643 0.8070 0.8857  1 V 1.81
F: 0.5645 0.0598 0.3649  1 V 1.86, 1 Li 1.93
F: 0.5767 0.5713 0.3817  1 V 1.85, 1 Li 2.00
F: 0.5802 0.3271 0.8677  1 V 1.84
F: 0.6586 0.3548 0.5092  2 Li 1.92-2.05, 1 V 1.94
F: 0.6856 0.7076 0.7043  1 V 1.90, 1 Li 1.95
F: 0.6899 0.1942 0.0337  1 V 1.84, 1 Li 1.87
F: 0.6981 0.8636 0.5317  1 V 1.93, 2 Li 1.96-1.97
F: 0.7096 0.5192 0.2151  1 V 1.84, 1 Li 1.92
F: 0.7129 0.6930 0.0462  1 V 1.92, 2 Li 1.95-2.08
F: 0.7286 0.0074 0.2303  1 V 1.91, 2 Li 2.06-2.12
F: 0.7287 0.2036 0.7182  2 Li 1.87-1.91, 1 V 1.95
F: 0.8320 0.8225 0.3636  1 V 1.83, 1 Li 2.03
F: 0.8341 0.3239 0.3745  1 V 1.81, 1 Li 2.01
F: 0.8372 0.5626 0.8652  1 V 1.85, 1 Li 1.92
F: 0.8412 0.0612 0.8713  1 V 1.86, 1 Li 1.93
F: 0.8631 0.1715 0.5289  1 V 1.85, 1 Li 1.91
F: 0.8773 0.8630 0.0164  1 V 1.89, 1 Li 1.94
F: 0.8919 0.6679 0.5101  1 V 1.91, 1 Li 1.97
F: 0.8959 0.3604 0.0194  1 V 1.94, 2 Li 1.97-2.01

---

no.,energy relative to the lowest polymorph listed for this composition (meV/atom)
1,89
2,27